[1]
# K2CuBr2F2

A relaxed structure of K2CuBr2F2 (PBE-GGA, the Materials Project).

abc: 5.029 5.029 6.635
angles: 90.00 90.00 90.00
Atoms (fractional coordinates):
K (0.000, 0.500, 0.500)
K (0.500, 0.000, 0.500)
Cu (0.000, 0.000, 0.000)
Br (0.000, 0.500, 0.000)
Br (0.500, 0.000, 0.000)
F (0.000, 0.000, 0.500)
F (0.500, 0.500, 0.500)

Calculated density = 3.4 Mg/m³
SG = P4/mmm (123)
E_form = -11.352 eV/f.u.
Magnetic moment = 0.5 μB per formula unit
Uncorrected energy = -23.85 eV for the cell shown

[2]
# GaCuBr4

A relaxed structure of GaCuBr4 (PBE-GGA, the Materials Project).

abc: 5.929 5.929 10.871
angles: 90.00 90.00 90.00
Atoms (fractional coordinates):
Ga (0.000, 0.500, 0.250)
Ga (0.500, 0.000, 0.750)
Cu (0.000, 0.000, 0.000)
Cu (0.000, 0.000, 0.500)
Br (0.229, 0.265, 0.124)
Br (0.771, 0.735, 0.124)
Br (0.265, 0.771, 0.876)
Br (0.771, 0.265, 0.376)
Br (0.735, 0.229, 0.876)
Br (0.229, 0.735, 0.376)
Br (0.735, 0.771, 0.624)
Br (0.265, 0.229, 0.624)

Calculated density = 3.9 Mg/m³
SG = P-42c (112)
Largest piezoelectric modulus = 0.3 C/m2
E_form = -6.191 eV/f.u.
Uncorrected energy = -35.46 eV for the cell shown

[3]
# CuH6BrN2

A relaxed structure of CuH6BrN2 (PBE-GGA, the Materials Project).

abc: 7.250 7.250 5.806
angles: 78.94 78.94 125.17
Atoms (fractional coordinates):
Cu (0.000, 0.000, 0.500)
Cu (0.000, 0.000, 0.000)
H (0.589, 0.820, 0.287)
H (0.180, 0.411, 0.213)
H (0.598, 0.855, 0.992)
H (0.145, 0.402, 0.508)
H (0.911, 0.288, 0.412)
H (0.712, 0.089, 0.088)
H (0.288, 0.911, 0.912)
H (0.089, 0.712, 0.588)
H (0.855, 0.598, 0.492)
H (0.402, 0.145, 0.008)
H (0.820, 0.589, 0.787)
H (0.411, 0.180, 0.713)
Br (0.363, 0.637, 0.750)
Br (0.637, 0.363, 0.250)
N (0.695, 0.936, 0.100)
N (0.064, 0.305, 0.400)
N (0.936, 0.695, 0.600)
N (0.305, 0.064, 0.900)

Calculated density = 2.6 Mg/m³
SG = C2/c (15)
E_form = -4.744 eV/f.u.
Magnetic moment = 0.0 μB per formula unit
Uncorrected energy = -93.58 eV for the cell shown

[4]
# CuH2Br4N2

A relaxed structure of CuH2Br4N2 (PBE-GGA, the Materials Project).

abc: 6.303 6.303 6.303
angles: 106.40 106.40 115.81
Atoms (fractional coordinates):
Cu (0.000, 0.000, 0.000)
H (0.227, 0.227, 0.000)
H (0.773, 0.773, 0.000)
Br (0.229, 0.771, 0.000)
Br (0.771, 0.229, 0.000)
Br (0.229, 0.229, 0.458)
Br (0.771, 0.771, 0.542)
N (0.250, 0.750, 0.500)
N (0.750, 0.250, 0.500)

Calculated density = 3.6 Mg/m³
SG = I4/mmm (139)
E_form = 12.681 eV/f.u.
Magnetic moment = 3.1 μB per formula unit
Uncorrected energy = -20.70 eV for the cell shown

[5]
# CuH12Br4N2O2

A relaxed structure of CuH12Br4N2O2 (PBE-GGA, the Materials Project).

abc: 8.110 8.110 8.296
angles: 90.00 90.00 90.00
Atoms (fractional coordinates):
Cu (0.500, 0.500, 0.500)
Cu (0.000, 0.000, 0.000)
H (0.930, 0.930, 0.694)
H (0.070, 0.070, 0.694)
H (0.930, 0.930, 0.306)
H (0.430, 0.570, 0.194)
H (0.570, 0.430, 0.194)
H (0.570, 0.430, 0.806)
H (0.430, 0.570, 0.806)
H (0.070, 0.070, 0.306)
H (0.071, 0.423, 0.322)
H (0.929, 0.577, 0.322)
H (0.423, 0.071, 0.678)
H (0.923, 0.429, 0.822)
H (0.077, 0.571, 0.822)
H (0.429, 0.923, 0.178)
H (0.571, 0.077, 0.178)
H (0.577, 0.929, 0.678)
H (0.929, 0.577, 0.678)
H (0.071, 0.423, 0.678)
H (0.423, 0.071, 0.322)
H (0.429, 0.923, 0.822)
H (0.571, 0.077, 0.822)
H (0.923, 0.429, 0.178)
H (0.077, 0.571, 0.178)
H (0.577, 0.929, 0.322)
Br (0.215, 0.215, 0.500)
Br (0.715, 0.285, 0.000)
Br (0.788, 0.788, 0.000)
Br (0.712, 0.288, 0.500)
Br (0.288, 0.712, 0.500)
Br (0.212, 0.212, 0.000)
Br (0.285, 0.715, 0.000)
Br (0.785, 0.785, 0.500)
N (0.000, 0.500, 0.750)
N (0.000, 0.500, 0.250)
N (0.500, 0.000, 0.750)
N (0.500, 0.000, 0.250)
O (0.000, 0.000, 0.763)
O (0.500, 0.500, 0.263)
O (0.500, 0.500, 0.737)
O (0.000, 0.000, 0.237)

Calculated density = 2.8 Mg/m³
SG = P4_2/mnm (136)
E_form = -14.620 eV/f.u.
Magnetic moment = 1.0 μB per formula unit
Uncorrected energy = -182.35 eV for the cell shown

[6]
# CuH8Br2O4

A relaxed structure of CuH8Br2O4 (PBE-GGA, the Materials Project).

abc: 4.223 7.516 12.181
angles: 90.00 104.01 90.00
Atoms (fractional coordinates):
Cu (0.000, 0.500, 0.500)
Cu (0.000, 0.000, 0.000)
H (0.994, 0.524, 0.708)
H (0.006, 0.024, 0.792)
H (0.006, 0.476, 0.292)
H (0.994, 0.976, 0.208)
H (0.366, 0.504, 0.702)
H (0.634, 0.004, 0.798)
H (0.634, 0.496, 0.298)
H (0.366, 0.996, 0.202)
H (0.742, 0.528, 0.858)
H (0.258, 0.028, 0.642)
H (0.258, 0.472, 0.142)
H (0.742, 0.972, 0.358)
H (0.775, 0.331, 0.815)
H (0.225, 0.831, 0.685)
H (0.225, 0.669, 0.185)
H (0.775, 0.169, 0.315)
Br (0.386, 0.255, 0.524)
Br (0.614, 0.755, 0.976)
Br (0.614, 0.745, 0.476)
Br (0.386, 0.245, 0.024)
O (0.155, 0.564, 0.664)
O (0.845, 0.064, 0.836)
O (0.845, 0.436, 0.336)
O (0.155, 0.936, 0.164)
O (0.737, 0.455, 0.789)
O (0.263, 0.955, 0.711)
O (0.263, 0.545, 0.211)
O (0.737, 0.045, 0.289)

Calculated density = 2.6 Mg/m³
SG = P2_1/c (14)
E_form = -15.894 eV/f.u.
Magnetic moment = 1.1 μB per formula unit
Uncorrected energy = -134.91 eV for the cell shown